[1]
Zr15VO32 | PBE+U | relaxed

## Properties
DFT formation energy, eV per formula unit: -178.31
Raw total energy, eV/cell: -450.3

CIF file:
```
data_Zr15VO32
_cell_length_a 5.268
_cell_length_b 10.389
_cell_length_c 10.763
_cell_angle_alpha 99.62
_cell_angle_beta 90.11
_cell_angle_gamma 90.16
_space_group_name_H-M_alt 'P 1'
_space_group_IT_number 1
_space_group_name_Hall 'P 1'
loop_
_atom_site_label
_atom_site_type_symbol
_atom_site_fract_x
_atom_site_fract_y
_atom_site_fract_z
Zr1 Zr 0.000 0.000 0.000
Zr2 Zr 0.000 0.001 0.502
Zr3 Zr 0.000 0.504 0.000
Zr4 Zr 0.411 0.000 0.752
Zr5 Zr 0.413 0.501 0.252
Zr6 Zr 0.415 0.001 0.251
Zr7 Zr 0.498 0.722 0.038
Zr8 Zr 0.499 0.226 0.543
Zr9 Zr 0.500 0.722 0.545
Zr10 Zr 0.501 0.226 0.041
Zr11 Zr 0.910 0.718 0.791
Zr12 Zr 0.912 0.725 0.292
Zr13 Zr 0.913 0.227 0.791
Zr14 Zr 0.915 0.224 0.292
Zr15 Zr 0.999 0.502 0.504
V1 V 0.404 0.492 0.746
O1 O 0.121 0.896 0.818
O2 O 0.122 0.898 0.319
O3 O 0.127 0.397 0.322
O4 O 0.140 0.402 0.814
O5 O 0.199 0.140 0.658
O6 O 0.199 0.639 0.157
O7 O 0.200 0.138 0.157
O8 O 0.206 0.632 0.661
O9 O 0.212 0.637 0.905
O10 O 0.213 0.140 0.906
O11 O 0.213 0.639 0.409
O12 O 0.216 0.140 0.408
O13 O 0.290 0.398 0.068
O14 O 0.291 0.897 0.569
O15 O 0.292 0.897 0.067
O16 O 0.296 0.402 0.577
O17 O 0.623 0.341 0.728
O18 O 0.623 0.828 0.224
O19 O 0.625 0.329 0.224
O20 O 0.626 0.829 0.725
O21 O 0.688 0.581 0.882
O22 O 0.699 0.089 0.885
O23 O 0.699 0.587 0.387
O24 O 0.700 0.087 0.387
O25 O 0.714 0.094 0.638
O26 O 0.714 0.586 0.637
O27 O 0.715 0.087 0.135
O28 O 0.715 0.587 0.135
O29 O 0.790 0.828 0.476
O30 O 0.792 0.825 0.974
O31 O 0.794 0.328 0.477
O32 O 0.797 0.329 0.972
```



[2]
KPrNi4O12 | PBE+U | relaxed

## Properties
DFT formation energy, eV per formula unit: -14.59
Raw total energy, eV/cell: -169.1

CIF file:
```
data_KPrNi4O12
_cell_length_a 7.750
_cell_length_b 7.749
_cell_length_c 7.718
_cell_angle_alpha 90.00
_cell_angle_beta 90.00
_cell_angle_gamma 90.00
_space_group_name_H-M_alt 'A m m 2'
_space_group_IT_number 38
_space_group_name_Hall 'A 2 -2'
loop_
_atom_site_label
_atom_site_type_symbol
_atom_site_fract_x
_atom_site_fract_y
_atom_site_fract_z
K1 K 0.000 0.000 0.000
Pr1 Pr 0.500 0.000 0.506
Ni1 Ni 0.246 0.249 0.250
O1 O 0.000 0.245 0.251
O2 O 0.259 0.000 0.740
O3 O 0.266 0.231 0.501
O4 O 0.274 0.000 0.263
O5 O 0.500 0.238 0.745
```



[3]
Li4Ti2Mn3Fe3O16 | PBE+U | relaxed

## Properties
DFT formation energy, eV per formula unit: -64.05
Raw total energy, eV/cell: -196.8

CIF file:
```
data_Li4Ti2Mn3Fe3O16
_cell_length_a 5.892
_cell_length_b 5.915
_cell_length_c 9.527
_cell_angle_alpha 88.77
_cell_angle_beta 89.66
_cell_angle_gamma 60.51
_space_group_name_H-M_alt 'P 1'
_space_group_IT_number 1
_space_group_name_Hall 'P 1'
loop_
_atom_site_label
_atom_site_type_symbol
_atom_site_fract_x
_atom_site_fract_y
_atom_site_fract_z
Li1 Li 0.000 0.000 0.000
Li2 Li 0.000 0.003 0.500
Li3 Li 0.335 0.317 0.097
Li4 Li 0.661 0.658 0.598
Ti1 Ti 0.331 0.336 0.500
Ti2 Ti 0.667 0.660 0.000
Mn1 Mn 0.169 0.169 0.779
Mn2 Mn 0.338 0.824 0.281
Mn3 Mn 0.830 0.340 0.278
Fe1 Fe 0.170 0.656 0.780
Fe2 Fe 0.658 0.168 0.779
Fe3 Fe 0.825 0.831 0.278
O1 O 0.002 0.008 0.189
O2 O 0.003 0.003 0.688
O3 O 0.035 0.469 0.657
O4 O 0.145 0.194 0.402
O5 O 0.165 0.668 0.401
O6 O 0.329 0.320 0.889
O7 O 0.335 0.833 0.899
O8 O 0.466 0.036 0.654
O9 O 0.474 0.476 0.648
O10 O 0.516 0.948 0.150
O11 O 0.547 0.484 0.147
O12 O 0.662 0.168 0.397
O13 O 0.663 0.652 0.386
O14 O 0.835 0.824 0.906
O15 O 0.843 0.329 0.895
O16 O 0.963 0.508 0.156
```



[4]
Li3Co2Ge3O12 | PBE+U | relaxed

## Properties
DFT formation energy, eV per formula unit: -34.28
Raw total energy, eV/cell: -927.6

CIF file:
```
data_Li3Co2Ge3O12
_cell_length_a 11.862
_cell_length_b 11.862
_cell_length_c 11.862
_cell_angle_alpha 90.00
_cell_angle_beta 90.00
_cell_angle_gamma 90.00
_space_group_name_H-M_alt 'I a -3 d'
_space_group_IT_number 230
_space_group_name_Hall '-I 4bd 2c 3'
loop_
_atom_site_label
_atom_site_type_symbol
_atom_site_fract_x
_atom_site_fract_y
_atom_site_fract_z
Li1 Li 0.000 0.250 0.125
Co1 Co 0.000 0.000 0.000
Ge1 Ge 0.000 0.250 0.375
O1 O 0.029 0.050 0.647
```



[5]
Fe5Ge3O12 | PBE+U | relaxed

## Properties
DFT formation energy, eV per formula unit: -36.89
Raw total energy, eV/cell: -531.8

CIF file:
```
data_Fe5Ge3O12
_cell_length_a 6.946
_cell_length_b 6.946
_cell_length_c 19.239
_cell_angle_alpha 90.00
_cell_angle_beta 90.00
_cell_angle_gamma 90.00
_space_group_name_H-M_alt 'I -4 2 d'
_space_group_IT_number 122
_space_group_name_Hall 'I -4 2bw'
loop_
_atom_site_label
_atom_site_type_symbol
_atom_site_fract_x
_atom_site_fract_y
_atom_site_fract_z
Fe1 Fe 0.000 0.000 0.000
Fe2 Fe 0.000 0.000 0.272
Fe3 Fe 0.242 0.750 0.625
Ge1 Ge 0.000 0.000 0.500
Ge2 Ge 0.159 0.250 0.125
O1 O 0.016 0.726 0.055
O2 O 0.030 0.733 0.899
O3 O 0.059 0.712 0.703
```



[6]
BaNiF4 | PBE+U | relaxed

## Properties
DFT formation energy, eV per formula unit: -20.30
Raw total energy, eV/cell: -125.1
Largest piezoelectric modulus, C/m²: 1.69

CIF file:
```
data_BaNiF4
_cell_length_a 4.204
_cell_length_b 14.773
_cell_length_c 5.909
_cell_angle_alpha 90.00
_cell_angle_beta 90.00
_cell_angle_gamma 90.00
_space_group_name_H-M_alt 'C m c 21'
_space_group_IT_number 36
_space_group_name_Hall 'C 2c -2'
loop_
_atom_site_label
_atom_site_type_symbol
_atom_site_fract_x
_atom_site_fract_y
_atom_site_fract_z
Ba1 Ba 0.000 0.147 0.000
Ni1 Ni 0.000 0.414 0.958
F1 F 0.000 0.079 0.448
F2 F 0.000 0.302 0.765
F3 F 0.000 0.336 0.230
F4 F 0.000 0.472 0.639
```



[7]
Cs2VHO4 | PBE+U | relaxed

## Properties
DFT formation energy, eV per formula unit: -16.62
Raw total energy, eV/cell: -184.9

CIF file:
```
data_Cs2VHO4
_cell_length_a 5.496
_cell_length_b 12.807
_cell_length_c 9.048
_cell_angle_alpha 90.00
_cell_angle_beta 90.00
_cell_angle_gamma 90.00
_space_group_name_H-M_alt 'C m c 21'
_space_group_IT_number 36
_space_group_name_Hall 'C 2c -2'
loop_
_atom_site_label
_atom_site_type_symbol
_atom_site_fract_x
_atom_site_fract_y
_atom_site_fract_z
Cs1 Cs 0.000 0.060 0.000
Cs2 Cs 0.000 0.384 0.845
V1 V 0.000 0.304 0.273
H1 H 0.000 0.169 0.674
O1 O 0.000 0.172 0.306
O2 O 0.000 0.371 0.437
O3 O 0.224 0.165 0.676
```



[8]
Na2Mn3O7 | PBE+U | relaxed

## Properties
DFT formation energy, eV per formula unit: -23.28
Raw total energy, eV/cell: -156.5

CIF file:
```
data_Na2Mn3O7
_cell_length_a 6.830
_cell_length_b 6.846
_cell_length_c 7.714
_cell_angle_alpha 103.51
_cell_angle_beta 109.44
_cell_angle_gamma 111.06
_space_group_name_H-M_alt 'P -1'
_space_group_IT_number 2
_space_group_name_Hall '-P 1'
loop_
_atom_site_label
_atom_site_type_symbol
_atom_site_fract_x
_atom_site_fract_y
_atom_site_fract_z
Na1 Na 0.165 0.173 0.436
Na2 Na 0.233 0.315 0.023
Mn1 Mn 0.143 0.640 0.420
Mn2 Mn 0.280 0.782 0.858
Mn3 Mn 0.424 0.922 0.280
O1 O 0.047 0.355 0.223
O2 O 0.114 0.803 0.255
O3 O 0.189 0.510 0.634
O4 O 0.238 0.914 0.653
O5 O 0.372 0.683 0.064
O6 O 0.377 0.057 0.085
O7 O 0.471 0.793 0.482
```



[9]
EuDyV4O12 | PBE+U | relaxed

## Properties
DFT formation energy, eV per formula unit: -47.56
Raw total energy, eV/cell: -143.1

CIF file:
```
data_EuDyV4O12
_cell_length_a 5.350
_cell_length_b 5.350
_cell_length_c 7.573
_cell_angle_alpha 90.00
_cell_angle_beta 90.00
_cell_angle_gamma 90.00
_space_group_name_H-M_alt 'P 4/m m m'
_space_group_IT_number 123
_space_group_name_Hall '-P 4 2'
loop_
_atom_site_label
_atom_site_type_symbol
_atom_site_fract_x
_atom_site_fract_y
_atom_site_fract_z
Eu1 Eu 0.000 0.000 0.000
Dy1 Dy 0.500 0.500 0.500
V1 V 0.000 0.500 0.249
O1 O 0.000 0.500 0.000
O2 O 0.000 0.500 0.500
O3 O 0.252 0.252 0.253
```



[10]
Sr3Mn4O12 | PBE+U | relaxed

## Properties
DFT formation energy, eV per formula unit: -41.07
Raw total energy, eV/cell: -127.2

CIF file:
```
data_Sr3Mn4O12
_cell_length_a 5.5152
_cell_length_b 5.5152
_cell_length_c 9.3171
_cell_angle_alpha 90.00
_cell_angle_beta 90.00
_cell_angle_gamma 120.00
_space_group_name_H-M_alt 'P -3 m 1'
_space_group_IT_number 164
_space_group_name_Hall '-P 3 2"'
loop_
_atom_site_label
_atom_site_type_symbol
_atom_site_fract_x
_atom_site_fract_y
_atom_site_fract_z
Sr1 Sr 0.0000 0.0000 0.0000
Sr2 Sr 0.3333 0.6667 0.7429
Mn1 Mn 0.3333 0.6667 0.1117
Mn2 Mn 0.3333 0.6667 0.3872
O1 O 0.0000 0.5000 0.0000
O2 O 0.0000 0.5000 0.5000
O3 O 0.1836 0.3672 0.2482
```



[11]
Tl4Mo5O17 | PBE+U | relaxed

## Properties
DFT formation energy, eV per formula unit: -46.98
Raw total energy, eV/cell: -334.2

CIF file:
```
data_Tl4Mo5O17
_cell_length_a 7.969
_cell_length_b 11.048
_cell_length_c 11.183
_cell_angle_alpha 73.98
_cell_angle_beta 80.63
_cell_angle_gamma 80.41
_space_group_name_H-M_alt 'P -1'
_space_group_IT_number 2
_space_group_name_Hall '-P 1'
loop_
_atom_site_label
_atom_site_type_symbol
_atom_site_fract_x
_atom_site_fract_y
_atom_site_fract_z
Tl1 Tl 0.071 0.270 0.287
Tl2 Tl 0.123 0.176 0.970
Tl3 Tl 0.242 0.427 0.595
Tl4 Tl 0.391 0.899 0.303
Mo1 Mo 0.107 0.062 0.671
Mo2 Mo 0.301 0.569 0.223
Mo3 Mo 0.316 0.520 0.926
Mo4 Mo 0.370 0.812 0.976
Mo5 Mo 0.422 0.761 0.683
O1 O 0.035 0.134 0.524
O2 O 0.077 0.995 0.230
O3 O 0.129 0.502 0.329
O4 O 0.177 0.184 0.721
O5 O 0.203 0.482 0.080
O6 O 0.203 0.723 0.122
O7 O 0.211 0.454 0.839
O8 O 0.212 0.942 0.930
O9 O 0.249 0.697 0.870
O10 O 0.289 0.930 0.655
O11 O 0.291 0.697 0.610
O12 O 0.396 0.212 0.426
O13 O 0.405 0.630 0.317
O14 O 0.476 0.416 0.223
O15 O 0.478 0.607 0.042
O16 O 0.484 0.181 0.174
O17 O 0.493 0.860 0.068
```